1.
{"formula": "Y2MgBi2O7", "functional": "GGA-PBE", "state": "relaxed", "cell": [[5.698, 0.000, 0.000], [-1.964, 6.003, 0.000], [-1.509, -3.131, 5.551]], "species": ["Y", "Y", "Mg", "Bi", "Bi", "O", "O", "O", "O", "O", "O", "O"], "fractional_positions": [[0.000, 0.000, 0.000], [0.113, 0.334, 0.643], [0.488, 0.896, 0.133], [0.389, 0.865, 0.564], [0.732, 0.489, 0.088], [0.119, 0.693, 0.864], [0.271, 0.049, 0.360], [0.326, 0.187, 0.876], [0.555, 0.706, 0.306], [0.591, 0.671, 0.869], [0.799, 0.156, 0.776], [0.842, 0.214, 0.269]], "e_above_lowest_polymorph_ev_per_atom": 0.000, "spacegroup": "P1", "e_tot_ev_per_atom": -7.0570}

=====

2.
{"formula": "Ba2ZrC8O19", "functional": "GGA-PBE", "state": "relaxed", "cell": [[8.868, 0.000, 0.000], [-3.768, 8.402, 0.000], [-2.523, -4.195, 14.828]], "species": ["Ba", "Ba", "Ba", "Ba", "Zr", "Zr", "C", "C", "C", "C", "C", "C", "C", "C", "C", "C", "C", "C", "C", "C", "C", "C", "O", "O", "O", "O", "O", "O", "O", "O", "O", "O", "O", "O", "O", "O", "O", "O", "O", "O", "O", "O", "O", "O", "O", "O", "O", "O", "O", "O", "O", "O", "O", "O", "O", "O", "O", "O", "O", "O"], "fractional_positions": [[0.024, 0.275, 0.053], [0.234, 0.984, 0.470], [0.766, 0.016, 0.530], [0.976, 0.725, 0.947], [0.387, 0.635, 0.771], [0.613, 0.365, 0.229], [0.153, 0.482, 0.887], [0.216, 0.299, 0.627], [0.233, 0.789, 0.644], [0.264, 0.095, 0.114], [0.274, 0.399, 0.894], [0.378, 0.005, 0.107], [0.411, 0.353, 0.643], [0.411, 0.826, 0.627], [0.589, 0.174, 0.373], [0.589, 0.647, 0.357], [0.622, 0.995, 0.893], [0.726, 0.601, 0.106], [0.736, 0.905, 0.886], [0.767, 0.211, 0.356], [0.784, 0.701, 0.373], [0.847, 0.518, 0.113], [0.026, 0.436, 0.918], [0.106, 0.017, 0.083], [0.112, 0.164, 0.570], [0.121, 0.379, 0.256], [0.143, 0.842, 0.603], [0.174, 0.399, 0.674], [0.197, 0.601, 0.849], [0.197, 0.704, 0.701], [0.218, 0.976, 0.873], [0.251, 0.296, 0.938], [0.311, 0.858, 0.064], [0.343, 0.606, 0.126], [0.345, 0.253, 0.152], [0.390, 0.453, 0.851], [0.457, 0.904, 0.570], [0.460, 0.260, 0.600], [0.464, 0.898, 0.850], [0.496, 0.505, 0.300], [0.500, 0.227, 0.327], [0.500, 0.773, 0.673], [0.504, 0.495, 0.700], [0.536, 0.102, 0.150], [0.540, 0.740, 0.400], [0.543, 0.096, 0.430], [0.610, 0.547, 0.149], [0.655, 0.747, 0.848], [0.657, 0.394, 0.874], [0.689, 0.142, 0.936], [0.749, 0.704, 0.062], [0.782, 0.024, 0.127], [0.803, 0.296, 0.299], [0.803, 0.399, 0.151], [0.826, 0.601, 0.326], [0.857, 0.158, 0.397], [0.879, 0.621, 0.744], [0.888, 0.836, 0.430], [0.894, 0.983, 0.917], [0.974, 0.564, 0.082]], "e_above_lowest_polymorph_ev_per_atom": 0.007, "spacegroup": "P-1", "e_tot_ev_per_atom": -7.2783}

=====

3.
{"formula": "Pa3Te", "functional": "GGA-PBE", "state": "relaxed", "cell": [[4.576, 0.000, 0.000], [0.000, 4.576, 0.000], [0.000, 0.000, 4.576]], "species": ["Pa", "Pa", "Pa", "Te"], "fractional_positions": [[0.000, 0.000, 0.500], [0.000, 0.500, 0.000], [0.500, 0.000, 0.000], [0.500, 0.500, 0.500]], "spacegroup": "Pm-3m", "e_tot_ev_per_atom": -8.2820}

=====

4.
{"formula": "K3Nd", "functional": "GGA-PBE", "state": "relaxed", "cell": [[5.816, 0.000, 0.000], [0.000, 5.816, 0.000], [0.000, 0.000, 13.440]], "species": ["K", "K", "K", "K", "K", "K", "Nd", "Nd"], "fractional_positions": [[0.000, 0.000, 0.000], [0.000, 0.500, 0.250], [0.000, 0.500, 0.750], [0.500, 0.000, 0.250], [0.500, 0.000, 0.750], [0.500, 0.500, 0.500], [0.000, 0.000, 0.500], [0.500, 0.500, 0.000]], "e_above_lowest_polymorph_ev_per_atom": 0.005, "spacegroup": "I4/mmm", "e_tot_ev_per_atom": -1.4790}

=====

5.
{"formula": "Li2ScCuCl6", "functional": "GGA-PBE", "state": "relaxed", "cell": [[0.000, 4.953, 4.953], [4.953, 0.000, 4.953], [4.953, 4.953, 0.000]], "species": ["Li", "Li", "Sc", "Cu", "Cl", "Cl", "Cl", "Cl", "Cl", "Cl"], "fractional_positions": [[0.250, 0.250, 0.250], [0.750, 0.750, 0.750], [0.000, 0.000, 0.000], [0.500, 0.500, 0.500], [0.250, 0.250, 0.750], [0.250, 0.750, 0.250], [0.250, 0.750, 0.750], [0.750, 0.250, 0.250], [0.750, 0.250, 0.750], [0.750, 0.750, 0.250]], "spacegroup": "Fm-3m", "e_tot_ev_per_atom": -3.9163}

=====

6.
{"formula": "CsPSe6", "functional": "GGA-PBE", "state": "relaxed", "cell": [[7.161, 0.000, 0.000], [0.000, 13.014, 0.000], [-6.802, 0.000, 11.540]], "species": ["Cs", "Cs", "Cs", "Cs", "P", "P", "P", "P", "Se", "Se", "Se", "Se", "Se", "Se", "Se", "Se", "Se", "Se", "Se", "Se", "Se", "Se", "Se", "Se", "Se", "Se", "Se", "Se", "Se", "Se", "Se", "Se"], "fractional_positions": [[0.000, 0.004, 0.000], [0.000, 0.996, 0.500], [0.526, 0.474, 0.751], [0.526, 0.526, 0.251], [0.026, 0.347, 0.251], [0.026, 0.653, 0.751], [0.027, 0.161, 0.751], [0.027, 0.839, 0.251], [0.025, 0.264, 0.891], [0.025, 0.736, 0.391], [0.028, 0.263, 0.610], [0.028, 0.737, 0.110], [0.170, 0.434, 0.412], [0.170, 0.566, 0.912], [0.271, 0.247, 0.233], [0.271, 0.753, 0.733], [0.328, 0.076, 0.818], [0.328, 0.924, 0.318], [0.387, 0.330, 0.975], [0.387, 0.670, 0.475], [0.460, 0.177, 0.426], [0.460, 0.823, 0.926], [0.591, 0.177, 0.076], [0.591, 0.823, 0.576], [0.666, 0.330, 0.526], [0.666, 0.670, 0.026], [0.724, 0.077, 0.682], [0.724, 0.923, 0.182], [0.782, 0.247, 0.268], [0.782, 0.753, 0.768], [0.882, 0.434, 0.089], [0.882, 0.566, 0.589]], "e_above_lowest_polymorph_ev_per_atom": 0.000, "spacegroup": "Pc", "e_tot_ev_per_atom": -3.7633}

=====

Number 1: formation energy -2.712 eV per atom. Number 2: formation energy -1.706 eV per atom. Number 3: formation energy -0.466 eV per atom. Number 4: formation energy 0.546 eV per atom. Number 5: formation energy -1.751 eV per atom. Number 6: formation energy -0.707 eV per atom.